4
Lattice="3.5435 -1.5688 -3.8474 2.4821 -4.8486 0.3878 -1.3172 -4.0251 -3.4473" Properties=species:S:1:pos:R:3 comment="PrYMg2 r²SCAN optimized geometry" vol_a3_per_atom=28.8 magmom_total_mub_per_fu=0.00 space_group=Fm-3m de_polymorph_ev_per_fu=0.00 pbc="T T T"
Pr 1.1771 -2.6106 -1.7267
Y 3.5314 -7.8319 -5.1802
Mg 2.3542 -5.2213 -3.4535
Mg 0.0000 0.0000 0.0000